# Ti2GaN | the Materials Project database | r²SCAN | relaxed
# formation enthalpy at 0 K	-30.5	kcal/mol of atoms
# theoretical density	5.8	Mg/m³
# total magnetization	0.000	μB/f.u.
data_Ti2GaN
_chemical_formula_sum 'Ti4 Ga2 N2'
_cell_length_a 3.0009
_cell_length_b 3.0009
_cell_length_c 13.2695
_cell_angle_alpha 90.00
_cell_angle_beta 90.00
_cell_angle_gamma 120.00
_space_group_name_H-M_alt 'P 63/m m c'
_space_group_IT_number 194
_space_group_name_Hall '-P 6c 2c'
loop_
_atom_site_label
_atom_site_fract_x
_atom_site_fract_y
_atom_site_fract_z
Ti1 0.3333 0.6667 0.0872
Ga1 0.3333 0.6667 0.7500
N1 0.0000 0.0000 0.0000